Entry 1:
# Lu2Fe14C

A geometry-optimized Lu2Fe14C structure (PBE-GGA, Materials Project).

Lattice parameters (Å, degrees): 8.6888 8.6888 11.6005 90.00 90.00 90.00
With the nearest neighbours (Å) after each atom.
Element x y z (fractional)
Lu  0.3565  0.3565  0.5000  1 C 2.81, 6 Fe 2.98-3.00
Lu  0.8565  0.1435  0.0000  1 C 2.81, 6 Fe 2.98-3.00
Lu  0.1435  0.8565  0.0000  1 C 2.81, 6 Fe 2.98-3.00
Lu  0.7418  0.7418  0.0000  16 Fe 2.93-3.23
Lu  0.2418  0.7582  0.5000  16 Fe 2.93-3.23
Lu  0.7582  0.2418  0.5000  16 Fe 2.93-3.23
Lu  0.6435  0.6435  0.5000  1 C 2.81, 6 Fe 2.98-3.00
Lu  0.2582  0.2582  0.0000  16 Fe 2.93-3.23
Fe  0.0968  0.0968  0.7986  6 Fe 2.34-2.60
Fe  0.6428  0.9640  0.8256  10 Fe 2.34-2.60
Fe  0.6842  0.6842  0.7546  12 Fe 2.59-2.77
Fe  0.5641  0.2252  0.1200  1 C 1.97
Fe  0.9359  0.7252  0.3800  1 C 1.97
Fe  0.1428  0.5360  0.6744  10 Fe 2.34-2.60
Fe  0.6428  0.9640  0.1744  10 Fe 2.34-2.60
Fe  0.7748  0.4359  0.8800  1 C 1.97
Fe  0.5360  0.1428  0.6744  10 Fe 2.34-2.60
Fe  0.8572  0.4640  0.6744  10 Fe 2.34-2.60
Fe  0.6842  0.6842  0.2454  12 Fe 2.59-2.77
Fe  0.0000  0.0000  0.6084  2 C 2.01
Fe  0.4032  0.5968  0.2986  6 Fe 2.34-2.60
Fe  0.2252  0.5641  0.8800  1 C 1.97
Fe  0.9640  0.6428  0.1744  10 Fe 2.34-2.60
Fe  0.3572  0.0360  0.8256  10 Fe 2.34-2.60
Fe  0.7252  0.9359  0.3800  1 C 1.97
Fe  0.0641  0.2748  0.6200  1 C 1.97
Fe  0.8158  0.1842  0.2546  12 Fe 2.59-2.77
Fe  0.2748  0.0641  0.3800  1 C 1.97
Fe  0.4032  0.5968  0.7014  6 Fe 2.34-2.60
Fe  0.2252  0.5641  0.1200  1 C 1.97
Fe  0.9032  0.9032  0.7986  6 Fe 2.34-2.60
Fe  0.4640  0.8572  0.3256  10 Fe 2.34-2.60
Fe  0.9359  0.7252  0.6200  1 C 1.97
Fe  0.1428  0.5360  0.3256  10 Fe 2.34-2.60
Fe  0.3572  0.0360  0.1744  10 Fe 2.34-2.60
Fe  0.7252  0.9359  0.6200  1 C 1.97
Fe  0.5641  0.2252  0.8800  1 C 1.97
Fe  0.9032  0.9032  0.2014  6 Fe 2.34-2.60
Fe  0.1842  0.8158  0.2546  12 Fe 2.59-2.77
Fe  0.5360  0.1428  0.3256  10 Fe 2.34-2.60
Fe  0.0360  0.3572  0.1744  10 Fe 2.34-2.60
Fe  0.2748  0.0641  0.6200  1 C 1.97
Fe  0.5968  0.4032  0.7014  6 Fe 2.34-2.60
Fe  0.5000  0.0000  0.0000  8 Fe 2.39-2.46
Fe  0.0641  0.2748  0.3800  1 C 1.97
Fe  0.3158  0.3158  0.2454  12 Fe 2.59-2.77
Fe  0.0000  0.0000  0.3916  2 C 2.01
Fe  0.1842  0.8158  0.7454  12 Fe 2.59-2.77
Fe  0.5000  0.5000  0.8916  2 C 2.01
Fe  0.4359  0.7748  0.1200  1 C 1.97
Fe  0.0968  0.0968  0.2014  6 Fe 2.34-2.60
Fe  0.4640  0.8572  0.6744  10 Fe 2.34-2.60
Fe  0.8158  0.1842  0.7454  12 Fe 2.59-2.77
Fe  0.9640  0.6428  0.8256  10 Fe 2.34-2.60
Fe  0.3158  0.3158  0.7546  12 Fe 2.59-2.77
Fe  0.8572  0.4640  0.3256  10 Fe 2.34-2.60
Fe  0.7748  0.4359  0.1200  1 C 1.97
Fe  0.5000  0.0000  0.5000  8 Fe 2.39-2.46
Fe  0.0360  0.3572  0.8256  10 Fe 2.34-2.60
Fe  0.5968  0.4032  0.2986  6 Fe 2.34-2.60
Fe  0.4359  0.7748  0.8800  1 C 1.97
Fe  0.0000  0.5000  0.0000  8 Fe 2.39-2.46
Fe  0.5000  0.5000  0.1084  2 C 2.01
Fe  0.0000  0.5000  0.5000  8 Fe 2.39-2.46
C  0.1280  0.1280  0.5000  6 Fe 1.97-2.01
C  0.8720  0.8720  0.5000  6 Fe 1.97-2.01
C  0.3720  0.6280  0.0000  6 Fe 1.97-2.01
C  0.6280  0.3720  0.0000  6 Fe 1.97-2.01

Computed properties:
The raw total energy is -553.48 eV for the cell shown. The total magnetization is 29.92 μB/f.u.


Entry 2:
# Li3Ti4O8

A geometry-optimized Li3Ti4O8 structure (PBE-GGA, Materials Project).

Lattice parameters (Å, degrees): 5.9849 5.9849 5.9849 59.57 59.57 59.57
With the nearest neighbours (Å) after each atom.
Element x y z (fractional)
Li  0.5000  0.0000  0.5000  6 O 2.16-2.18
Li  0.0000  0.5000  0.5000  6 O 2.16-2.18
Li  0.5000  0.5000  0.0000  6 O 2.16-2.18
Ti  0.0000  0.5000  0.0000  6 O 2.05-2.06
Ti  0.0000  0.0000  0.0000  6 O 2.01
Ti  0.0000  0.0000  0.5000  6 O 2.05-2.06
Ti  0.5000  0.0000  0.0000  6 O 2.05-2.06
O  0.7625  0.2224  0.7625  3 Ti 2.01-2.05, 2 Li 2.18
O  0.7553  0.7553  0.7553  3 Ti 2.06, 3 Li 2.16
O  0.2375  0.2375  0.7776  3 Ti 2.01-2.05, 2 Li 2.18
O  0.2224  0.7625  0.7625  3 Ti 2.01-2.05, 2 Li 2.18
O  0.7776  0.2375  0.2375  3 Ti 2.01-2.05, 2 Li 2.18
O  0.7625  0.7625  0.2224  3 Ti 2.01-2.05, 2 Li 2.18
O  0.2447  0.2447  0.2447  3 Ti 2.06, 3 Li 2.16
O  0.2375  0.7776  0.2375  3 Ti 2.01-2.05, 2 Li 2.18

Computed properties:
The raw total energy is -117.28 eV for the cell shown. The total magnetization is 0.42 μB/f.u.


Entry 3:
# KAuC2

A geometry-optimized KAuC2 structure (PBE-GGA, Materials Project).

Lattice parameters (Å, degrees): 4.3433 4.3433 5.2409 90.00 90.00 90.00
With the nearest neighbours (Å) after each atom.
Element x y z (fractional)
K  0.5000  0.5000  0.5000  8 C 3.13
Au  0.0000  0.0000  0.0000  2 C 2.00
C  0.0000  0.0000  0.6191  1 C 1.25
C  0.0000  0.0000  0.3809  1 C 1.25

Computed properties:
The raw total energy is -22.14 eV for the cell shown. The total magnetization is 0.00 μB/f.u.


Entry 4:
# Te4MoW3Se2S2

A geometry-optimized Te4MoW3Se2S2 structure (PBE-GGA, Materials Project).

Lattice parameters (Å, degrees): 3.3980 3.3980 38.7447 90.00 90.00 120.00
With the nearest neighbours (Å) after each atom.
Element x y z (fractional)
Te  0.3333  0.6667  0.7061  3 W 2.72
Te  0.6667  0.3333  0.0453  3 W 2.72
Te  0.6667  0.3333  0.1425  3 W 2.72
Te  0.3333  0.6667  0.6089  3 W 2.72
Mo  0.6667  0.3333  0.2818  6 Se 2.56
W  0.3333  0.6667  0.0939  6 Te 2.72
W  0.3333  0.6667  0.4697  6 S 2.47
W  0.6667  0.3333  0.6575  6 Te 2.72
Se  0.3333  0.6667  0.3243  3 Mo 2.56
Se  0.3333  0.6667  0.2393  3 Mo 2.56
S  0.6667  0.3333  0.4308  3 W 2.47
S  0.6667  0.3333  0.5085  3 W 2.47

Computed properties:
The raw total energy is -81.79 eV for the cell shown. The total magnetization is 0.00 μB/f.u.


Entry 5:
# LuH9C5N2O8

A geometry-optimized LuH9C5N2O8 structure (PBE-GGA, Materials Project).

Lattice parameters (Å, degrees): 6.6929 8.5113 9.6949 90.00 110.19 90.00
With the nearest neighbours (Å) after each atom.
Element x y z (fractional)
Lu  0.8580  0.7500  0.7160  8 O 2.24-2.42
Lu  0.1420  0.2500  0.2840  8 O 2.24-2.42
H  0.9261  0.5615  0.4195  1 C 1.11
H  0.5066  0.4385  0.5805  1 C 1.11
H  0.0739  0.0615  0.5805  1 C 1.11
H  0.4934  0.9385  0.4195  1 C 1.11
H  0.3128  0.7500  0.6256  1 C 1.11
H  0.6872  0.2500  0.3744  1 C 1.11
H  0.2347  0.0000  0.0000  1 C 1.11
H  0.7653  0.5000  0.0000  1 C 1.11
H  0.6470  0.1702  0.9894  1 N 1.03
H  0.6576  0.8298  0.0106  1 N 1.03
H  0.3530  0.6702  0.0106  1 N 1.03
H  0.3424  0.3298  0.9894  1 N 1.03
H  0.6436  0.1013  0.8148  1 N 1.03
H  0.8288  0.8987  0.1852  1 N 1.03
H  0.3564  0.6013  0.1852  1 N 1.03
H  0.1712  0.3987  0.8148  1 N 1.03
H  0.3447  0.2500  0.6893  1 C 1.10
H  0.6553  0.7500  0.3107  1 C 1.10
C  0.9944  0.4765  0.5104  1 H 1.11
C  0.4840  0.5235  0.4896  1 H 1.11
C  0.0056  0.9765  0.4896  1 H 1.11
C  0.5160  0.0235  0.5104  1 H 1.11
C  0.3736  0.7500  0.7472  1 H 1.11
C  0.6264  0.2500  0.2528  1 H 1.11
C  0.0695  0.0000  0.0000  1 H 1.11
C  0.9305  0.5000  0.0000  1 H 1.11
C  0.4049  0.2500  0.8098  1 H 1.10
C  0.5951  0.7500  0.1902  1 H 1.10
N  0.5754  0.1657  0.8768  2 H 1.03
N  0.6987  0.8343  0.1232  2 H 1.03
N  0.4246  0.6657  0.1232  2 H 1.03
N  0.3013  0.3343  0.8768  2 H 1.03
O  0.2391  0.7643  0.8121  1 C 1.27
O  0.4270  0.2357  0.1879  1 C 1.27
O  0.7609  0.2643  0.1879  1 C 1.27
O  0.5730  0.7357  0.8121  1 C 1.27
O  0.9297  0.9251  0.8998  1 C 1.26
O  0.0299  0.0749  0.1002  1 C 1.26
O  0.0703  0.4251  0.1002  1 C 1.26
O  0.9701  0.5749  0.8998  1 C 1.26
O  0.9943  0.5161  0.6364  1 C 1.27
O  0.3579  0.4839  0.3636  1 C 1.27
O  0.0057  0.0161  0.3636  1 C 1.27
O  0.6421  0.9839  0.6364  1 C 1.27
O  0.5862  0.6520  0.5187  1 C 1.27
O  0.0675  0.3480  0.4813  1 C 1.27
O  0.4138  0.1520  0.4813  1 C 1.27
O  0.9325  0.8480  0.5187  1 C 1.27

Computed properties:
The raw total energy is -325.69 eV for the cell shown. The total magnetization is 0.00 μB/f.u.


Entry 6:
# UMn5P3

A geometry-optimized UMn5P3 structure (PBE-GGA, Materials Project).

Lattice parameters (Å, degrees): 3.6325 10.6311 11.9251 90.00 90.00 90.00
With the nearest neighbours (Å) after each atom.
Element x y z (fractional)
U  0.2500  0.5825  0.7030  6 P 2.82-2.88, 7 Mn 2.89-3.16
U  0.7500  0.4175  0.2970  6 P 2.82-2.88, 7 Mn 2.89-3.16
U  0.7500  0.0825  0.7970  6 P 2.82-2.88, 7 Mn 2.89-3.16
U  0.2500  0.9175  0.2030  6 P 2.82-2.88, 7 Mn 2.89-3.16
Mn  0.2500  0.4053  0.4852  4 P 2.31-2.32
Mn  0.7500  0.7177  0.3264  4 P 2.24-2.36
Mn  0.7500  0.7823  0.8264  4 P 2.24-2.36
Mn  0.2500  0.2823  0.6736  4 P 2.24-2.36
Mn  0.2500  0.6176  0.2019  4 P 2.30-2.37, 2 Mn 2.58
Mn  0.7500  0.3824  0.7981  4 P 2.30-2.37, 2 Mn 2.58
Mn  0.7500  0.1176  0.2981  4 P 2.30-2.37, 2 Mn 2.58
Mn  0.2500  0.8824  0.7019  4 P 2.30-2.37, 2 Mn 2.58
Mn  0.2500  0.0340  0.4327  4 P 2.23-2.27
Mn  0.7500  0.9660  0.5673  4 P 2.23-2.27
Mn  0.7500  0.5340  0.0673  4 P 2.23-2.27
Mn  0.2500  0.4660  0.9327  4 P 2.23-2.27
Mn  0.7500  0.9053  0.0148  4 P 2.31-2.32
Mn  0.2500  0.0947  0.9852  4 P 2.31-2.32
Mn  0.2500  0.7048  0.9897  5 P 2.39-2.56, 1 Mn 2.63
Mn  0.7500  0.2952  0.0103  5 P 2.39-2.56, 1 Mn 2.63
Mn  0.7500  0.2048  0.5103  5 P 2.39-2.56, 1 Mn 2.63
Mn  0.2500  0.7952  0.4897  5 P 2.39-2.56, 1 Mn 2.63
Mn  0.2500  0.2177  0.1736  4 P 2.24-2.36
Mn  0.7500  0.5947  0.5148  4 P 2.31-2.32
P  0.2500  0.5973  0.3940  7 Mn 2.30-2.39
P  0.7500  0.4027  0.6060  7 Mn 2.30-2.39
P  0.7500  0.0973  0.1060  7 Mn 2.30-2.39
P  0.2500  0.9027  0.8940  7 Mn 2.30-2.39
P  0.7500  0.7691  0.6308  7 Mn 2.23-2.49
P  0.2500  0.2309  0.3692  7 Mn 2.23-2.49
P  0.2500  0.4179  0.1144  5 Mn 2.23-2.37
P  0.7500  0.5821  0.8856  5 Mn 2.23-2.37
P  0.7500  0.9179  0.3856  5 Mn 2.23-2.37
P  0.2500  0.0821  0.6144  5 Mn 2.23-2.37
P  0.2500  0.2691  0.8692  7 Mn 2.23-2.49
P  0.7500  0.7309  0.1308  7 Mn 2.23-2.49

Computed properties:
The raw total energy is -317.35 eV for the cell shown.